A.
## Rb3LiErV2O8 (PBE with a Hubbard U)

Data for Rb3LiErV2O8 after structural relaxation.

The structure in POSCAR format:
```
Rb3LiErV2O8
1.0
-3.983 1.878 -4.191
5.208 3.110 0.938
3.738 -4.420 -6.098
O Li Er V Rb
8 1 1 2 3
Cartesian
4.881 1.288 -2.241
0.081 -0.720 -7.110
2.846 2.509 -4.036
2.535 -0.113 -2.663
2.404 2.382 -1.163
2.558 -1.814 -8.187
2.427 0.681 -6.687
2.116 -1.940 -5.314
4.473 -0.655 -2.580
1.869 -2.210 -3.049
3.106 1.616 -2.519
1.856 -1.047 -6.831
0.000 0.000 0.000
4.913 -0.544 -5.391
0.049 1.112 -3.960
```

Output
SG: No. 12
Crystal system: monoclinic



B.
## Rb3LiErV2O8 (PBE with a Hubbard U)

Data for Rb3LiErV2O8 after structural relaxation.

The structure in POSCAR format:
```
Rb3LiErV2O8
1.0
5.865 0.581 -0.884
-2.192 -5.083 2.210
-0.916 -3.149 -8.150
O Rb V Er Li
8 3 2 1 1
Cartesian
2.328 -4.233 -7.426
2.830 -5.006 -4.603
-1.109 -5.139 -0.981
0.432 -3.409 0.624
-0.045 -2.672 -2.054
0.954 -2.708 -5.280
1.738 -4.857 -1.410
3.949 -2.412 -5.732
-0.161 -5.445 -4.645
2.919 -2.201 -2.167
-0.064 -0.220 -0.570
2.509 -3.612 -5.819
0.255 -4.015 -0.943
-0.445 -1.528 -3.955
-0.701 -2.410 -6.238
```

Output
SG: No. 156
Crystal system: trigonal



Of them, the most stable is A and the least stable is B.



A.
## LiEr2Tl2W4O16 (PBE with a Hubbard U)

Data for LiEr2Tl2W4O16 after structural relaxation.

The structure in POSCAR format:
```
LiEr2Tl2W4O16
1.0
-2.165 -7.453 -0.114
-7.496 1.828 -0.843
-3.669 -2.584 -6.071
O W Er Tl Li
16 4 2 2 1
Cartesian
-7.264 -3.453 -1.059
-10.374 -7.616 -4.977
-10.787 -4.678 -4.625
-5.996 -2.007 -5.660
-5.814 -4.909 -3.189
-2.981 -0.622 -2.063
-9.592 -4.420 -2.077
-2.579 -3.536 -2.410
-3.702 -3.781 -4.938
-7.556 -3.317 -3.887
-4.922 -2.262 -3.028
-4.548 -3.982 -0.648
-8.751 -4.196 -6.333
-6.057 -4.733 -6.029
-8.437 -5.936 -3.943
-7.313 -6.174 -1.364
-7.808 -4.735 -2.409
-9.771 -5.954 -5.509
-5.472 -3.410 -4.565
-3.636 -2.273 -1.577
-9.066 -2.169 -5.235
-4.284 -6.006 -1.796
-6.026 -7.460 -4.819
-7.311 -0.738 -2.210
-7.544 -4.818 -5.027
```

Output
SG: No. 5
Crystal system: monoclinic



B.
## LiEr2Tl2W4O16 (PBE with a Hubbard U)

Data for LiEr2Tl2W4O16 after structural relaxation.

The structure in POSCAR format:
```
LiEr2Tl2W4O16
1.0
4.095 5.228 -3.422
4.406 -5.555 -3.544
0.059 -0.090 -7.491
O Er Tl W Li
16 2 2 4 1
Cartesian
1.072 -1.032 -3.148
6.628 -1.871 -10.111
1.677 -1.711 -7.977
4.176 1.028 -6.782
1.268 0.936 -6.936
7.325 -1.150 -7.556
4.453 1.064 -3.887
6.859 1.404 -6.454
4.162 -1.407 -10.672
7.413 0.722 -11.276
2.771 0.482 -9.148
5.836 0.502 -9.001
1.964 1.677 -4.351
5.851 -0.844 -5.249
4.401 -1.399 -7.543
2.585 -0.854 -5.475
4.585 -3.122 -9.206
3.994 2.829 -5.253
4.193 2.963 -8.984
4.547 -4.236 -5.429
5.933 -0.247 -10.767
5.922 -0.066 -7.017
2.580 0.032 -3.638
2.622 -0.259 -7.372
4.194 -1.709 -5.214
```

Output
SG: No. 1
Crystal system: triclinic



Of them, the most stable is B and the least stable is A.



A.
## Er5MgMo2O12 (PBE with a Hubbard U)

Data for Er5MgMo2O12 after structural relaxation.

The structure in POSCAR format:
```
Er5MgMo2O12
1.0
-4.610 -0.460 3.811
5.580 3.242 2.419
-3.608 5.061 -3.753
O Mg Er Mo
12 1 5 2
Cartesian
-0.469 1.472 2.163
-2.827 4.132 -2.920
-0.301 4.305 2.355
-5.151 3.830 -1.047
2.513 4.012 3.524
0.188 3.710 5.397
-4.484 3.323 1.897
-2.338 3.537 0.122
-2.169 6.370 0.314
-0.052 6.581 -1.436
-2.586 1.261 3.913
1.846 4.519 0.580
-4.109 2.300 0.029
-0.429 4.992 0.084
1.449 2.513 2.056
-2.209 2.850 2.393
-4.087 5.329 0.421
-1.804 2.530 -1.877
-1.094 -0.109 0.905
-3.515 -0.351 2.906
```

Output
SG: No. 12
Crystal system: monoclinic



B.
## Er5MgMo2O12 (PBE with a Hubbard U)

Data for Er5MgMo2O12 after structural relaxation.

The structure in POSCAR format:
```
Er5MgMo2O12
1.0
5.433 1.318 1.847
-2.871 -5.528 3.015
2.801 -2.489 -6.464
O Er Mo Mg
12 5 2 1
Cartesian
1.224 -5.662 -3.707
4.985 -1.383 -4.283
-0.282 -4.758 -0.523
2.471 -4.089 0.412
2.216 -2.026 -5.083
1.497 -1.564 1.310
3.267 0.131 -0.311
4.270 -0.891 2.250
5.726 -1.944 -1.173
3.110 -4.585 3.506
3.633 -5.080 -2.885
2.891 -2.633 -2.141
5.005 -3.335 -2.949
3.919 -5.370 1.695
3.662 -2.136 0.146
1.682 -4.641 -1.628
0.460 -3.653 1.260
1.220 -7.661 -3.022
4.065 -6.971 -2.055
2.346 -3.798 -4.177
```

Output
SG: No. 1
Crystal system: triclinic



Of them, the most stable is A and the least stable is B.



A.
## Er2W3O12 (PBE with a Hubbard U)

Data for Er2W3O12 after structural relaxation.

The structure in POSCAR format:
```
Er2W3O12
1.0
-8.116 6.178 -0.288
-4.940 -6.753 -5.641
-9.930 -12.763 6.052
O W Er
48 12 8
Cartesian
-9.850 0.475 1.648
-6.059 -6.448 -3.731
-7.322 0.858 -1.588
-4.813 -6.034 -0.745
-11.639 -4.469 0.174
-9.528 -2.362 0.914
-4.650 -4.503 1.815
-14.300 -3.992 1.367
-21.319 -12.333 0.808
-9.440 -6.616 -0.406
-15.823 -8.871 -0.130
-10.779 -4.428 -4.626
-4.623 -3.827 -3.015
-18.337 -8.836 -1.692
-13.459 -10.976 -0.791
-14.056 -4.637 -1.521
-13.547 -6.722 0.529
-8.687 -9.347 -1.244
-14.096 -11.191 4.550
-1.668 -1.005 -0.685
-14.143 -6.418 4.698
-8.930 -8.701 1.644
-15.878 -4.110 3.942
-10.114 0.826 -2.552
-7.133 -0.606 1.050
-9.518 -5.191 2.238
-18.174 -7.305 0.867
-16.651 -6.402 -1.501
-12.208 -8.910 4.749
-15.665 -14.196 1.711
-8.843 -6.920 -4.575
-11.348 -8.870 -0.051
-6.336 -6.937 1.624
-11.437 -11.376 3.303
-13.468 -8.148 -2.115
-7.109 -9.228 -3.819
-8.891 -2.148 -4.427
-9.462 -3.775 -2.026
-13.137 -13.813 -1.525
-16.928 -6.891 3.853
-11.550 -1.963 -3.180
-12.873 -14.164 2.675
-13.524 -9.564 2.148
-18.364 -9.511 3.137
-17.809 -11.942 1.548
-15.854 -12.732 -0.927
-5.178 -1.396 -1.425
-7.163 -4.467 0.253
-17.257 -7.858 -0.605
-18.369 -11.322 3.159
-8.755 -0.967 1.782
-5.730 -5.481 0.728
-10.172 -3.090 -3.556
-9.604 -8.382 -0.011
-7.158 -7.595 -4.610
-15.828 -5.744 4.733
-14.232 -12.371 -1.659
-12.814 -10.249 3.679
-13.382 -4.957 0.134
-4.617 -2.017 -3.037
-12.185 0.204 -3.142
-9.418 -4.435 0.112
-15.896 -4.728 -2.831
-17.348 -13.783 0.319
-13.569 -8.903 0.011
-5.638 0.445 -0.196
-7.090 -8.611 2.954
-10.801 -13.543 3.265
```

Output
SG: No. 14
Crystal system: monoclinic



B.
## Er2W3O12 (PBE with a Hubbard U)

Data for Er2W3O12 after structural relaxation.

The structure in POSCAR format:
```
Er2W3O12
1.0
-1.683 -2.493 6.215
1.379 -5.022 -4.533
10.154 -3.495 3.716
O Er W
24 4 6
Cartesian
2.099 -7.108 1.784
6.841 -7.594 0.193
2.250 -6.050 4.246
9.862 -6.632 0.827
9.367 -6.589 3.753
4.981 -5.478 0.029
8.420 -8.701 2.266
8.714 -6.116 6.602
9.654 -10.024 4.501
5.577 -2.987 1.683
2.918 -2.356 0.899
5.793 -6.363 2.682
4.272 -8.024 3.715
1.429 -2.309 3.131
7.599 -4.960 1.152
4.869 -5.532 5.368
4.056 -4.648 2.716
0.483 -4.422 1.644
7.750 -3.902 3.614
1.135 -4.894 -1.204
3.009 -3.417 5.205
0.195 -0.987 0.897
-0.013 -4.379 4.570
6.932 -8.654 4.499
6.137 -8.654 2.291
0.311 -6.288 3.063
3.712 -2.356 3.107
9.538 -4.723 2.335
5.802 -4.847 1.483
1.258 -3.700 5.729
4.047 -6.163 3.915
8.591 -7.311 -0.331
9.781 -8.454 3.466
0.068 -2.556 1.932
```

Output
SG: No. 15
Crystal system: monoclinic



Of them, the most stable is A and the least stable is B.



A.
## SrEu2Fe2O7 (PBE with a Hubbard U)

Data for SrEu2Fe2O7 after structural relaxation.

The structure in POSCAR format:
```
SrEu2Fe2O7
1.0
2.711 -0.175 4.698
0.878 -5.309 -0.704
9.884 1.965 -2.497
O Eu Fe Sr
14 4 4 2
Cartesian
8.776 -0.317 2.875
9.487 1.456 0.848
2.217 -1.456 3.285
4.369 0.224 3.756
3.547 -2.320 1.001
4.697 -3.201 -1.379
3.109 0.334 1.353
7.759 -2.878 0.000
8.666 -1.088 -1.907
1.372 -4.028 0.708
8.227 1.566 -1.555
9.926 -1.198 0.496
4.808 -2.430 3.404
5.714 -0.641 1.496
5.840 -3.361 1.254
9.469 -2.902 2.311
4.004 -0.617 -0.815
7.633 -0.157 0.243
3.898 -1.062 2.406
9.575 -2.457 -0.909
2.987 -3.629 -0.285
10.486 0.111 1.781
0.892 -1.371 0.990
2.697 -4.113 3.004
```

Output
SG: No. 63
Crystal system: orthorhombic



B.
## SrEu2Fe2O7 (PBE with a Hubbard U)

Data for SrEu2Fe2O7 after structural relaxation.

The structure in POSCAR format:
```
SrEu2Fe2O7
1.0
5.588 0.000 0.000
0.000 5.588 0.000
0.000 0.000 20.012
O Eu Fe Sr
28 8 8 4
Cartesian
0.000 2.794 17.914
2.794 0.000 17.914
2.794 2.794 17.608
1.130 4.458 15.923
0.000 2.794 12.104
1.130 4.458 4.088
4.458 1.130 15.923
0.000 0.000 7.602
2.794 0.000 12.104
1.189 1.189 10.006
0.000 0.000 12.409
1.664 1.664 5.918
4.458 1.130 4.088
2.794 2.794 8.220
2.794 2.794 2.403
3.983 1.604 0.000
1.664 1.664 14.094
4.398 4.398 10.006
2.794 0.000 7.908
2.794 2.794 11.791
0.000 0.000 1.785
2.794 0.000 2.098
0.000 2.794 7.908
1.604 3.983 0.000
0.000 2.794 2.098
3.924 3.924 5.918
3.924 3.924 14.094
0.000 0.000 18.226
1.512 4.076 13.689
1.282 1.282 3.683
4.305 4.305 3.683
1.282 1.282 16.328
1.512 4.076 6.322
4.076 1.512 6.322
4.305 4.305 16.328
4.076 1.512 13.689
4.216 4.216 8.022
1.372 1.372 8.022
1.422 4.166 1.984
1.422 4.166 18.028
4.166 1.422 18.028
4.216 4.216 11.989
4.166 1.422 1.984
1.372 1.372 11.989
1.426 4.161 10.006
4.220 4.220 0.000
1.368 1.368 0.000
4.161 1.426 10.006
```

Output
SG: No. 136
Crystal system: tetragonal



Of them, the most stable is B and the least stable is A.



A.
## KLaEuWO6 (PBE with a Hubbard U)

Data for KLaEuWO6 after structural relaxation.

The structure in POSCAR format:
```
KLaEuWO6
1.0
-4.054 7.422 -1.624
-7.345 -3.401 2.789
1.753 2.684 7.888
O K W La Eu
24 4 4 4 4
Cartesian
-7.756 3.902 4.755
-9.365 5.278 2.921
-3.595 5.926 3.615
-0.915 2.481 1.298
-1.767 7.448 5.111
-6.477 4.702 2.497
-3.549 1.827 6.702
-5.657 3.281 7.372
-1.979 2.664 3.892
-6.856 2.096 2.771
-3.528 7.533 7.176
-2.843 0.688 0.635
-4.757 -0.646 7.833
-4.454 1.718 9.360
-3.795 3.070 1.759
-3.907 0.871 3.229
-4.140 8.496 4.586
-5.356 6.010 5.680
-6.865 0.809 8.503
-9.743 2.672 3.195
-2.983 4.963 6.205
-8.465 3.471 0.937
-5.960 0.918 5.845
-1.028 0.282 2.768
-2.027 3.711 -0.812
-2.796 -0.358 5.339
-1.150 5.053 3.132
-3.672 -1.700 1.395
-3.561 6.729 5.396
-2.411 1.676 2.263
-8.110 3.687 2.846
-5.207 1.318 7.602
0.877 1.342 3.944
0.000 0.000 0.000
-5.699 2.011 0.583
-4.823 3.352 4.527
-7.234 5.029 6.790
-6.084 -0.024 3.658
-4.438 5.387 1.451
-1.535 3.018 6.208
```

Output
SG: No. 48
Crystal system: orthorhombic



B.
## KLaEuWO6 (PBE with a Hubbard U)

Data for KLaEuWO6 after structural relaxation.

The structure in POSCAR format:
```
KLaEuWO6
1.0
0.000 -4.270 -4.270
4.270 0.000 -4.270
4.270 -4.270 0.000
O La K W Eu
6 1 1 1 1
Cartesian
2.305 -4.270 -4.270
4.270 -2.305 -4.270
4.270 -4.270 -6.234
4.270 -4.270 -2.305
6.234 -4.270 -4.270
4.270 -6.234 -4.270
6.405 -6.405 -6.405
2.135 -2.135 -2.135
4.270 -4.270 -4.270
0.000 0.000 0.000
```

Output
SG: No. 216
Crystal system: cubic



Of them, the most stable is A and the least stable is B.